[1]
Material: Na2FeO3
Method: DFT, GGA+U
State: optimized geometry

a b c (Å): 5.391 10.958 5.391
angles (deg): 94.88 60.00 85.12
Sites, in units of the cell vectors:
Fe: 0.420 0.250 0.420
Fe: 0.247 0.750 0.247
Fe: 0.753 0.250 0.753
Fe: 0.580 0.750 0.580
Na: 0.840 0.000 0.320
Na: 0.913 0.750 0.913
Na: 0.684 0.500 0.158
Na: 0.158 0.000 0.684
Na: 0.320 0.500 0.840
Na: 0.505 0.000 0.992
Na: 0.087 0.250 0.087
Na: 0.992 0.500 0.505
O: 0.509 0.851 0.334
O: 0.507 0.150 0.683
O: 0.862 0.849 0.578
O: 0.934 0.648 0.261
O: 0.578 0.651 0.862
O: 0.105 0.149 0.438
O: 0.261 0.852 0.934
O: 0.038 0.352 0.752
O: 0.683 0.350 0.507
O: 0.334 0.649 0.509
O: 0.438 0.351 0.105
O: 0.752 0.148 0.038

As for the total energy: -5.242 eV per atom. For the energy of formation, the calculation gives -1635 meV/atom.

[2]
Material: ErVO3
Method: DFT, GGA+U
State: optimized geometry

a b c (Å): 5.293 5.719 7.612
angles (deg): 90.00 90.00 90.00
Sites, in units of the cell vectors:
O: 0.307 0.687 0.938
O: 0.807 0.813 0.062
O: 0.876 0.550 0.750
O: 0.624 0.050 0.750
O: 0.376 0.950 0.250
O: 0.693 0.313 0.062
O: 0.807 0.813 0.438
O: 0.193 0.187 0.938
O: 0.693 0.313 0.438
O: 0.124 0.450 0.250
O: 0.307 0.687 0.562
O: 0.193 0.187 0.562
Er: 0.021 0.928 0.750
Er: 0.979 0.072 0.250
Er: 0.521 0.572 0.250
Er: 0.479 0.428 0.750
V: 0.500 0.000 0.000
V: 0.000 0.500 0.500
V: 0.500 0.000 0.500
V: 0.000 0.500 0.000

As for the total energy: -8.257 eV per atom. For the energy of formation, the calculation gives -3311 meV/atom.